(1)
This record from Materials Project describes an optimized crystal structure of KBaPO4. The functional is PBE-GGA.

The structure in extended XYZ format:
```
28
Lattice="5.738 0.000 0.000 0.000 7.841 0.000 0.000 0.000 10.151" Properties=species:S:1:pos:R:3 pbc="T T T"
O 3.022 1.573 6.646
O 2.715 2.348 1.571
P 4.303 6.002 9.308
K 1.434 1.267 4.239
K 1.434 5.187 0.837
Ba 4.303 3.970 3.110
O 1.434 0.277 0.839
P 4.303 2.081 5.918
Ba 1.434 3.871 7.041
O 3.022 5.494 8.580
O 4.303 3.644 5.915
O 4.303 1.549 4.444
Ba 4.303 0.049 1.966
Ba 1.434 7.792 8.185
O 1.434 6.293 5.707
O 4.303 7.564 9.311
P 1.434 1.839 0.843
O 2.715 6.268 3.504
O 4.303 5.469 0.632
K 4.303 2.654 9.314
O 1.434 4.197 4.236
O 5.584 5.494 8.580
P 1.434 5.760 4.233
O 5.584 1.573 6.646
O 0.153 6.268 3.504
O 0.153 2.348 1.571
K 4.303 6.574 5.912
O 1.434 2.372 9.519
```

Results
Mass density ... 3.9 g cm⁻³
Formation enthalpy at 0 K ... -3.04 eV per atom
DFT total energy ... -6.68 eV/atom

---

(2)
This record from Materials Project describes an optimized crystal structure of Cu3As4H18C8Br3N2O4. The functional is PBE-GGA.

The structure in extended XYZ format:
```
84
Lattice="9.102 6.092 0.000 -9.102 6.092 0.000 0.000 2.861 10.913" Properties=species:S:1:pos:R:3 pbc="T T T"
H 0.745 6.872 5.010
H 0.447 5.106 4.913
H -5.479 5.885 1.709
C 3.623 9.912 3.909
Cu 6.879 6.808 2.728
H 5.320 7.783 10.347
H -2.057 4.884 5.640
C -1.168 9.139 6.200
H -0.745 8.303 10.467
Cu 2.765 5.840 8.094
H -1.555 5.083 7.353
N -4.388 9.561 1.885
H 6.951 8.456 9.980
As 2.775 10.933 10.605
H -1.555 11.393 9.017
H -5.479 7.730 3.747
As -2.775 4.113 0.308
N 4.388 10.992 7.341
H -1.431 7.345 9.107
Br 1.944 8.238 8.185
H 1.431 7.701 1.806
H -2.165 6.489 6.414
H 1.555 3.653 1.896
As -5.705 7.962 10.234
H -0.447 6.536 10.369
C -3.623 11.342 9.365
H 2.165 8.557 4.499
C 5.886 7.789 6.266
H 1.431 5.915 3.651
H 5.320 8.693 6.022
O -3.888 8.611 6.300
C -2.273 11.067 9.786
H 5.479 7.316 7.166
H 2.165 5.058 0.957
Br -0.934 2.785 3.187
As 5.705 7.084 0.679
C -1.168 7.337 10.170
O 3.888 7.180 0.843
Br -1.944 6.808 2.728
C -3.623 5.134 7.004
H -6.951 7.026 4.523
C 2.273 3.979 1.127
O 3.028 3.858 5.078
Br 0.934 12.261 7.726
H -1.431 9.131 7.262
Cu -6.879 8.238 8.185
H 6.951 8.020 6.390
As 2.775 5.543 5.764
C 3.623 3.703 1.548
N 4.388 5.485 9.028
As -2.775 9.502 5.149
C 1.168 7.709 0.743
O 3.028 9.757 0.378
C -5.886 7.257 4.647
C 5.886 8.687 10.104
C -5.886 6.358 0.809
H -2.165 9.987 9.956
N -4.388 4.054 3.572
H -6.951 6.589 0.933
Cu 2.765 10.636 8.275
H -5.320 6.353 4.891
O 3.888 6.435 4.613
C 2.273 9.636 4.330
H 2.057 10.161 5.273
As 5.705 6.532 4.777
H 2.057 3.454 0.183
H -2.057 11.592 10.730
C 1.168 5.907 4.713
H -5.320 7.263 0.566
O -3.028 5.289 10.535
H 0.745 6.743 0.446
Cu -2.765 4.410 2.638
H -0.745 8.174 5.903
Cu -2.765 9.205 2.819
H 0.447 8.510 0.544
H 1.555 9.963 3.560
Br 0.934 4.215 8.643
As -5.705 8.514 6.136
H -0.447 9.940 6.000
O -3.888 7.865 10.070
Br -0.934 10.831 2.270
O -3.028 11.188 5.835
H 5.479 9.161 9.204
C -2.273 5.410 6.583
```

Results
Mass density ... 2.6 g cm⁻³
Formation enthalpy at 0 K ... -0.36 eV per atom
DFT total energy ... -5.23 eV/atom

---

Q: Among the records above, which one has the highest formation enthalpy at 0 K?
A: Cu3As4H18C8Br3N2O4

---

Q: What is the formula in the second record?
A: Cu3As4H18C8Br3N2O4